1.
A geometry-optimized Fe4OF6 structure, computed with GGA+U.

Electronic total energy ... -126.78 eV per cell
Theoretical density ... 4421 kg/m3
Formation enthalpy at 0 K ... -2.323 eV per atom
Space group ... P1
Polymorph energy (0 for the lowest one) ... 16.8 meV/atom

a b c (Å): 5.180 7.110 7.210
angles (deg): 89.17 89.95 89.23
Sites, in units of the cell vectors:
Fe: 0.000 0.000 0.000
Fe: 0.014 0.509 0.010
Fe: 0.094 0.480 0.492
Fe: 0.111 0.992 0.482
Fe: 0.500 0.242 0.238
Fe: 0.524 0.240 0.725
Fe: 0.587 0.744 0.772
Fe: 0.611 0.747 0.258
O: 0.302 0.241 0.497
O: 0.805 0.745 0.001
F: 0.188 0.255 0.050
F: 0.302 0.522 0.792
F: 0.305 0.946 0.209
F: 0.308 0.552 0.224
F: 0.317 0.975 0.816
F: 0.419 0.771 0.520
F: 0.698 0.224 0.977
F: 0.797 0.467 0.698
F: 0.800 0.436 0.279
F: 0.801 0.042 0.282
F: 0.817 0.016 0.694
F: 0.929 0.737 0.444

2.
A geometry-optimized Sc2VO5 structure, computed with GGA+U.

Electronic total energy ... -342.60 eV per cell
Theoretical density ... 4016 kg/m3
Formation enthalpy at 0 K ... -3.396 eV per atom
Space group ... I-4

a b c (Å): 9.241 9.241 9.241
angles (deg): 129.62 129.62 74.02
Sites, in units of the cell vectors:
Sc: 0.003 0.195 0.546
Sc: 0.055 0.713 0.751
Sc: 0.188 0.188 0.000
Sc: 0.287 0.038 0.342
Sc: 0.543 0.997 0.192
Sc: 0.649 0.457 0.454
Sc: 0.696 0.945 0.658
Sc: 0.805 0.351 0.808
Sc: 0.812 0.812 0.000
Sc: 0.962 0.304 0.249
V: 0.234 0.626 0.193
V: 0.374 0.567 0.608
V: 0.433 0.041 0.807
V: 0.500 0.500 0.000
V: 0.959 0.766 0.392
O: 0.018 0.070 0.271
O: 0.086 0.359 0.891
O: 0.112 0.612 0.500
O: 0.159 0.005 0.658
O: 0.160 0.735 0.049
O: 0.253 0.982 0.052
O: 0.265 0.314 0.425
O: 0.347 0.501 0.342
O: 0.354 0.266 0.761
O: 0.388 0.888 0.500
O: 0.406 0.646 0.912
O: 0.468 0.196 0.109
O: 0.499 0.841 0.847
O: 0.505 0.594 0.239
O: 0.576 0.076 0.500
O: 0.641 0.532 0.728
O: 0.686 0.111 0.951
O: 0.734 0.495 0.088
O: 0.750 0.250 0.500
O: 0.799 0.747 0.729
O: 0.804 0.914 0.272
O: 0.889 0.840 0.575
O: 0.924 0.424 0.500
O: 0.930 0.201 0.948
O: 0.995 0.653 0.153

3.
A geometry-optimized Li2CrH8Cl5O4 structure, computed with GGA+U.

Electronic total energy ... -182.83 eV per cell
Theoretical density ... 1676 kg/m3
Formation enthalpy at 0 K ... -1.326 eV per atom
Space group ... C2/c

a b c (Å): 8.497 8.497 13.604
angles (deg): 111.86 111.86 43.98
Sites, in units of the cell vectors:
Li: 0.104 0.375 0.389
Li: 0.375 0.104 0.889
Li: 0.625 0.896 0.111
Li: 0.896 0.625 0.611
Cr: 0.500 0.500 0.000
Cr: 0.500 0.500 0.500
H: 0.062 0.750 0.504
H: 0.140 0.613 0.028
H: 0.160 0.824 0.617
H: 0.176 0.840 0.883
H: 0.223 0.701 0.139
H: 0.250 0.938 0.996
H: 0.299 0.777 0.361
H: 0.387 0.860 0.472
H: 0.613 0.140 0.528
H: 0.701 0.223 0.639
H: 0.750 0.062 0.004
H: 0.777 0.299 0.861
H: 0.824 0.160 0.117
H: 0.840 0.176 0.383
H: 0.860 0.387 0.972
H: 0.938 0.250 0.496
Cl: 0.008 0.992 0.250
Cl: 0.201 0.232 0.542
Cl: 0.232 0.201 0.042
Cl: 0.356 0.368 0.342
Cl: 0.368 0.356 0.842
Cl: 0.632 0.644 0.158
Cl: 0.644 0.632 0.658
Cl: 0.768 0.799 0.958
Cl: 0.799 0.768 0.458
Cl: 0.992 0.008 0.750
O: 0.185 0.756 0.541
O: 0.244 0.815 0.959
O: 0.280 0.575 0.076
O: 0.425 0.720 0.424
O: 0.575 0.280 0.576
O: 0.720 0.425 0.924
O: 0.756 0.185 0.041
O: 0.815 0.244 0.459

4.
A geometry-optimized TlVSeO5 structure, computed with GGA+U.

Electronic total energy ... -193.13 eV per cell
Theoretical density ... 5384 kg/m3
Formation enthalpy at 0 K ... -1.717 eV per atom
Space group ... Pna2_1

a b c (Å): 7.226 8.810 8.027
angles (deg): 90.00 90.00 90.00
Sites, in units of the cell vectors:
Tl: 0.026 0.113 0.000
Tl: 0.474 0.613 0.500
Tl: 0.526 0.387 0.000
Tl: 0.974 0.887 0.500
V: 0.212 0.740 0.903
V: 0.288 0.240 0.403
V: 0.712 0.760 0.903
V: 0.788 0.260 0.403
Se: 0.047 0.516 0.194
Se: 0.453 0.016 0.694
Se: 0.547 0.984 0.194
Se: 0.953 0.484 0.694
O: 0.065 0.177 0.369
O: 0.109 0.628 0.667
O: 0.110 0.543 0.984
O: 0.221 0.821 0.090
O: 0.248 0.919 0.754
O: 0.252 0.419 0.254
O: 0.279 0.321 0.590
O: 0.390 0.043 0.484
O: 0.391 0.128 0.167
O: 0.435 0.677 0.869
O: 0.565 0.323 0.369
O: 0.609 0.872 0.667
O: 0.610 0.957 0.984
O: 0.721 0.679 0.090
O: 0.748 0.581 0.754
O: 0.752 0.081 0.254
O: 0.779 0.179 0.590
O: 0.890 0.457 0.484
O: 0.891 0.372 0.167
O: 0.935 0.823 0.869

5.
A geometry-optimized VFeH2O5 structure, computed with GGA+U.

Electronic total energy ... -115.88 eV per cell
Theoretical density ... 3142 kg/m3
Formation enthalpy at 0 K ... -1.806 eV per atom
Space group ... P-1

a b c (Å): 5.561 5.710 6.768
angles (deg): 100.49 95.04 107.19
Sites, in units of the cell vectors:
V: 0.242 0.379 0.244
V: 0.758 0.621 0.756
Fe: 0.136 0.217 0.699
Fe: 0.864 0.783 0.301
H: 0.374 0.850 0.712
H: 0.420 0.887 0.296
H: 0.580 0.113 0.704
H: 0.626 0.150 0.288
O: 0.122 0.138 0.382
O: 0.123 0.262 0.994
O: 0.147 0.639 0.331
O: 0.409 0.034 0.738
O: 0.425 0.529 0.722
O: 0.575 0.471 0.278
O: 0.591 0.966 0.262
O: 0.853 0.361 0.669
O: 0.877 0.738 0.006
O: 0.878 0.862 0.618